[1]
An optimized crystal structure of NaGaH8N4. Source: the Materials Project, functional PBE.

a = 7.482 Å, b = 6.450 Å, c = 13.470 Å
α = 90.00°, β = 96.47°, γ = 90.00°
Space group P2_1/c (No. 14)
Symmetry-distinct sites (fractional):
Na  0.245  0.223  0.185 (multiplicity 4)
Ga  0.244  0.643  0.342 (multiplicity 4)
H  0.044  0.606  0.923 (multiplicity 4)
H  0.057  0.673  0.482 (multiplicity 4)
H  0.123  0.211  0.862 (multiplicity 4)
H  0.141  0.658  0.682 (multiplicity 4)
H  0.285  0.664  0.159 (multiplicity 4)
H  0.331  0.212  0.911 (multiplicity 4)
H  0.472  0.592  0.900 (multiplicity 4)
H  0.488  0.201  0.034 (multiplicity 4)
N  0.045  0.736  0.412 (multiplicity 4)
N  0.183  0.695  0.201 (multiplicity 4)
N  0.248  0.157  0.852 (multiplicity 4)
N  0.482  0.750  0.394 (multiplicity 4)

Properties
energy above the most stable polymorph in this dataset	0	meV/atom
total magnetization	0.0	μB/f.u.
formation energy	-0.456	eV per atom

[2]
An optimized crystal structure of TmLuRu2. Source: the Materials Project, functional PBE.

a = 6.689 Å, b = 6.689 Å, c = 6.689 Å
α = 90.00°, β = 90.00°, γ = 90.00°
Space group Fm-3m (No. 225)
Symmetry-distinct sites (fractional):
Tm  0.000  0.000  0.000 (multiplicity 4)
Lu  0.000  0.000  0.500 (multiplicity 4)
Ru  0.250  0.250  0.250 (multiplicity 8)

Properties
formation energy	-0.445	eV per atom

[3]
An optimized crystal structure of CsMgP3O9. Source: the Materials Project, functional PBE.

a = 18.519 Å, b = 12.259 Å, c = 12.206 Å
α = 90.00°, β = 96.67°, γ = 90.00°
Space group Pc (No. 7)
Symmetry-distinct sites (fractional):
Cs  0.000  0.111  0.000 (multiplicity 2)
Cs  0.106  0.300  0.621 (multiplicity 2)
Cs  0.337  0.133  0.806 (multiplicity 2)
Cs  0.419  0.264  0.198 (multiplicity 2)
Cs  0.725  0.233  0.074 (multiplicity 2)
Cs  0.825  0.379  0.461 (multiplicity 2)
Mg  0.217  0.065  0.486 (multiplicity 2)
Mg  0.287  0.437  0.950 (multiplicity 2)
Mg  0.543  0.037  0.393 (multiplicity 2)
Mg  0.622  0.463  0.870 (multiplicity 2)
Mg  0.878  0.076  0.302 (multiplicity 2)
Mg  0.949  0.421  0.796 (multiplicity 2)
P  0.061  0.117  0.330 (multiplicity 2)
P  0.109  0.394  0.948 (multiplicity 2)
P  0.192  0.075  0.214 (multiplicity 2)
P  0.206  0.204  0.013 (multiplicity 2)
P  0.304  0.301  0.499 (multiplicity 2)
P  0.324  0.440  0.695 (multiplicity 2)
P  0.392  0.102  0.499 (multiplicity 2)
P  0.450  0.416  0.866 (multiplicity 2)
P  0.526  0.077  0.654 (multiplicity 2)
P  0.545  0.224  0.847 (multiplicity 2)
P  0.620  0.277  0.414 (multiplicity 2)
P  0.640  0.421  0.609 (multiplicity 2)
P  0.716  0.086  0.394 (multiplicity 2)
P  0.772  0.386  0.769 (multiplicity 2)
P  0.843  0.058  0.561 (multiplicity 2)
P  0.861  0.190  0.764 (multiplicity 2)
P  0.968  0.311  0.275 (multiplicity 2)
P  0.982  0.436  0.069 (multiplicity 2)
O  0.041  0.247  0.324 (multiplicity 2)
O  0.057  0.376  0.845 (multiplicity 2)
O  0.066  0.443  0.045 (multiplicity 2)
O  0.107  0.099  0.438 (multiplicity 2)
O  0.107  0.103  0.226 (multiplicity 2)
O  0.131  0.274  0.999 (multiplicity 2)
O  0.175  0.462  0.944 (multiplicity 2)
O  0.192  0.100  0.950 (multiplicity 2)
O  0.193  0.027  0.646 (multiplicity 2)
O  0.215  0.180  0.145 (multiplicity 2)
O  0.237  0.080  0.323 (multiplicity 2)
O  0.238  0.232  0.514 (multiplicity 2)
O  0.269  0.273  0.989 (multiplicity 2)
O  0.276  0.402  0.779 (multiplicity 2)
O  0.298  0.397  0.424 (multiplicity 2)
O  0.302  0.465  0.121 (multiplicity 2)
O  0.328  0.039  0.532 (multiplicity 2)
O  0.341  0.334  0.621 (multiplicity 2)
O  0.366  0.224  0.458 (multiplicity 2)
O  0.398  0.397  0.950 (multiplicity 2)
O  0.405  0.468  0.754 (multiplicity 2)
O  0.432  0.057  0.410 (multiplicity 2)
O  0.446  0.130  0.609 (multiplicity 2)
O  0.472  0.298  0.818 (multiplicity 2)
O  0.511  0.017  0.226 (multiplicity 2)
O  0.515  0.487  0.894 (multiplicity 2)
O  0.526  0.129  0.915 (multiplicity 2)
O  0.557  0.207  0.370 (multiplicity 2)
O  0.559  0.181  0.725 (multiplicity 2)
O  0.569  0.061  0.560 (multiplicity 2)
O  0.597  0.439  0.702 (multiplicity 2)
O  0.607  0.295  0.891 (multiplicity 2)
O  0.607  0.319  0.536 (multiplicity 2)
O  0.642  0.371  0.347 (multiplicity 2)
O  0.652  0.014  0.366 (multiplicity 2)
O  0.656  0.485  0.037 (multiplicity 2)
O  0.692  0.202  0.444 (multiplicity 2)
O  0.720  0.368  0.656 (multiplicity 2)
O  0.732  0.429  0.859 (multiplicity 2)
O  0.762  0.034  0.505 (multiplicity 2)
O  0.768  0.110  0.311 (multiplicity 2)
O  0.795  0.261  0.802 (multiplicity 2)
O  0.830  0.163  0.637 (multiplicity 2)
O  0.839  0.447  0.744 (multiplicity 2)
O  0.865  0.088  0.833 (multiplicity 2)
O  0.866  0.039  0.132 (multiplicity 2)
O  0.891  0.095  0.477 (multiplicity 2)
O  0.902  0.239  0.275 (multiplicity 2)
O  0.929  0.257  0.765 (multiplicity 2)
O  0.933  0.408  0.967 (multiplicity 2)
O  0.968  0.462  0.633 (multiplicity 2)
O  0.969  0.417  0.336 (multiplicity 2)
O  0.983  0.329  0.148 (multiplicity 2)
O  0.993  0.051  0.303 (multiplicity 2)

Properties
total magnetization	0.0	μB/f.u.
formation energy	-2.810	eV per atom

[4]
An optimized crystal structure of ReW2Br. Source: the Materials Project, functional PBE.

a = 6.428 Å, b = 6.428 Å, c = 6.428 Å
α = 90.00°, β = 90.00°, γ = 90.00°
Space group F-43m (No. 216)
Symmetry-distinct sites (fractional):
Re  0.000  0.000  0.000 (multiplicity 4)
W  0.000  0.000  0.500 (multiplicity 4)
W  0.250  0.250  0.750 (multiplicity 4)
Br  0.250  0.250  0.250 (multiplicity 4)

Properties
total magnetization	0.0	μB/f.u.
formation energy	1.138	eV per atom

[5]
An optimized crystal structure of Li3TiB2O6. Source: the Materials Project, functional PBE.

a = 5.023 Å, b = 7.087 Å, c = 7.976 Å
α = 67.73°, β = 89.40°, γ = 86.91°
Space group P-1 (No. 2)
Symmetry-distinct sites (fractional):
Li  0.138  0.440  0.237 (multiplicity 2)
Li  0.157  0.261  0.647 (multiplicity 2)
Li  0.347  0.390  0.951 (multiplicity 2)
Ti  0.404  0.013  0.341 (multiplicity 2)
B  0.136  0.803  0.888 (multiplicity 2)
B  0.334  0.656  0.570 (multiplicity 2)
O  0.131  0.193  0.160 (multiplicity 2)
O  0.187  0.777  0.415 (multiplicity 2)
O  0.238  0.493  0.700 (multiplicity 2)
O  0.263  0.641  0.018 (multiplicity 2)
O  0.280  0.976  0.784 (multiplicity 2)
O  0.411  0.261  0.429 (multiplicity 2)

Properties
energy above the most stable polymorph in this dataset	24	meV/atom
total magnetization	0.0	μB/f.u.
formation energy	-2.731	eV per atom

[6]
An optimized crystal structure of Na5Hf4Si3P3O24. Source: the Materials Project, functional PBE.

a = 9.041 Å, b = 9.044 Å, c = 22.933 Å
α = 90.02°, β = 90.01°, γ = 119.96°
Space group P1 (No. 1)
Symmetry-distinct sites (fractional):
Na  0.000  0.000  0.000 (multiplicity 1)
Na  0.001  0.006  0.499 (multiplicity 1)
Na  0.300  0.977  0.580 (multiplicity 1)
Na  0.308  0.344  0.085 (multiplicity 1)
Na  0.332  0.667  0.666 (multiplicity 1)
Na  0.334  0.674  0.166 (multiplicity 1)
Na  0.335  0.305  0.416 (multiplicity 1)
Na  0.365  0.376  0.747 (multiplicity 1)
Na  0.370  0.014  0.252 (multiplicity 1)
Na  0.633  0.645  0.247 (multiplicity 1)
Na  0.671  0.703  0.584 (multiplicity 1)
Na  0.675  0.329  0.833 (multiplicity 1)
Na  0.679  0.334  0.334 (multiplicity 1)
Na  0.703  0.675  0.917 (multiplicity 1)
Na  0.996  0.639  0.751 (multiplicity 1)
Hf  0.000  0.015  0.647 (multiplicity 1)
Hf  0.001  0.008  0.352 (multiplicity 1)
Hf  0.001  0.009  0.853 (multiplicity 1)
Hf  0.326  0.671  0.518 (multiplicity 1)
Hf  0.334  0.676  0.314 (multiplicity 1)
Hf  0.334  0.676  0.815 (multiplicity 1)
Hf  0.334  0.682  0.019 (multiplicity 1)
Hf  0.669  0.341  0.185 (multiplicity 1)
Hf  0.669  0.341  0.481 (multiplicity 1)
Hf  0.675  0.345  0.980 (multiplicity 1)
Hf  0.675  0.346  0.686 (multiplicity 1)
Hf  0.991  0.004  0.147 (multiplicity 1)
Si  0.042  0.676  0.916 (multiplicity 1)
Si  0.292  0.301  0.249 (multiplicity 1)
Si  0.335  0.970  0.416 (multiplicity 1)
Si  0.375  0.342  0.583 (multiplicity 1)
Si  0.669  0.637  0.082 (multiplicity 1)
Si  0.707  0.717  0.750 (multiplicity 1)
Si  0.710  0.011  0.251 (multiplicity 1)
Si  0.962  0.635  0.584 (multiplicity 1)
Si  0.999  0.300  0.751 (multiplicity 1)
P  0.002  0.719  0.249 (multiplicity 1)
P  0.042  0.383  0.416 (multiplicity 1)
P  0.292  0.008  0.749 (multiplicity 1)
P  0.334  0.383  0.918 (multiplicity 1)
P  0.378  0.051  0.083 (multiplicity 1)
P  0.624  0.967  0.917 (multiplicity 1)
P  0.628  0.677  0.417 (multiplicity 1)
P  0.669  0.052  0.582 (multiplicity 1)
P  0.960  0.342  0.083 (multiplicity 1)
O  0.013  0.842  0.912 (multiplicity 1)
O  0.032  0.207  0.410 (multiplicity 1)
O  0.035  0.835  0.196 (multiplicity 1)
O  0.040  0.215  0.695 (multiplicity 1)
O  0.129  0.652  0.857 (multiplicity 1)
O  0.131  0.494  0.362 (multiplicity 1)
O  0.142  0.500  0.076 (multiplicity 1)
O  0.156  0.665  0.578 (multiplicity 1)
O  0.159  0.468  0.470 (multiplicity 1)
O  0.163  0.699  0.971 (multiplicity 1)
O  0.163  0.704  0.257 (multiplicity 1)
O  0.167  0.996  0.412 (multiplicity 1)
O  0.171  0.492  0.757 (multiplicity 1)
O  0.176  0.206  0.911 (multiplicity 1)
O  0.180  0.210  0.190 (multiplicity 1)
O  0.180  0.976  0.694 (multiplicity 1)
O  0.191  0.167  0.588 (multiplicity 1)
O  0.202  0.041  0.089 (multiplicity 1)
O  0.205  0.039  0.802 (multiplicity 1)
O  0.207  0.179  0.306 (multiplicity 1)
O  0.305  0.846  0.757 (multiplicity 1)
O  0.313  0.472  0.972 (multiplicity 1)
O  0.313  0.855  0.474 (multiplicity 1)
O  0.323  0.494  0.256 (multiplicity 1)
O  0.357  0.878  0.358 (multiplicity 1)
O  0.359  0.873  0.077 (multiplicity 1)
O  0.366  0.498  0.863 (multiplicity 1)
O  0.371  0.520  0.576 (multiplicity 1)
O  0.464  0.309  0.525 (multiplicity 1)
O  0.468  0.168  0.030 (multiplicity 1)
O  0.468  0.171  0.743 (multiplicity 1)
O  0.484  0.321  0.243 (multiplicity 1)
O  0.486  0.133  0.139 (multiplicity 1)
O  0.491  0.643  0.076 (multiplicity 1)
O  0.493  0.371  0.641 (multiplicity 1)
O  0.498  0.369  0.924 (multiplicity 1)
O  0.503  0.164  0.421 (multiplicity 1)
O  0.508  0.871  0.575 (multiplicity 1)
O  0.512  0.646  0.363 (multiplicity 1)
O  0.515  0.688  0.756 (multiplicity 1)
O  0.515  0.879  0.862 (multiplicity 1)
O  0.519  0.839  0.257 (multiplicity 1)
O  0.540  0.697  0.472 (multiplicity 1)
O  0.540  0.849  0.970 (multiplicity 1)
O  0.635  0.133  0.636 (multiplicity 1)
O  0.638  0.510  0.422 (multiplicity 1)
O  0.638  0.516  0.140 (multiplicity 1)
O  0.642  0.143  0.924 (multiplicity 1)
O  0.681  0.173  0.244 (multiplicity 1)
O  0.686  0.525  0.745 (multiplicity 1)
O  0.689  0.540  0.025 (multiplicity 1)
O  0.695  0.163  0.528 (multiplicity 1)
O  0.796  0.970  0.195 (multiplicity 1)
O  0.798  0.830  0.691 (multiplicity 1)
O  0.801  0.978  0.911 (multiplicity 1)
O  0.805  0.834  0.411 (multiplicity 1)
O  0.825  0.026  0.589 (multiplicity 1)
O  0.828  0.034  0.307 (multiplicity 1)
O  0.830  0.804  0.807 (multiplicity 1)
O  0.834  0.326  0.745 (multiplicity 1)
O  0.836  0.541  0.528 (multiplicity 1)
O  0.839  0.542  0.242 (multiplicity 1)
O  0.840  0.824  0.087 (multiplicity 1)
O  0.848  0.316  0.029 (multiplicity 1)
O  0.848  0.508  0.922 (multiplicity 1)
O  0.865  0.365  0.423 (multiplicity 1)
O  0.874  0.366  0.137 (multiplicity 1)
O  0.877  0.521  0.642 (multiplicity 1)
O  0.968  0.800  0.303 (multiplicity 1)
O  0.978  0.183  0.807 (multiplicity 1)
O  0.979  0.824  0.589 (multiplicity 1)
O  0.987  0.185  0.089 (multiplicity 1)

Properties
total magnetization	0.0	μB/f.u.
formation energy	-3.210	eV per atom